Computed, not measured: a relaxed Rb4MgTi2Cu4S8 crystal at the GGA-PBE level of DFT.

Total DFT energy (no corrections) in eV per atom: -4.686
SG: P-42m
ρ in Mg/m³: 3.693
Total magnetization in μB/f.u.: 1.970
E_form in eV/atom: -1.1712
Relative energy among the computed polymorphs in eV/atom: 0.0001

Unit cell a=5.6594 b=5.6594 c=13.6559 alpha=90.00 beta=90.00 gamma=90.00
Sites, in units of the cell vectors:
1 Rb 0.7548 0.7548 0.9908
2 Rb 0.2452 0.7548 0.5092
3 Rb 0.7548 0.2452 0.5092
4 Rb 0.2452 0.2452 0.9908
5 Mg 0.0000 0.0000 0.2500
6 Ti 0.5000 0.5000 0.7500
7 Ti 0.5000 0.5000 0.2500
8 Cu 0.0000 0.5000 0.7500
9 Cu 0.5000 0.0000 0.7500
10 Cu 0.0000 0.5000 0.2500
11 Cu 0.5000 0.0000 0.2500
12 S 0.7379 0.7379 0.6565
13 S 0.2621 0.2621 0.6565
14 S 0.7486 0.7486 0.3525
15 S 0.7486 0.2514 0.1475
16 S 0.2621 0.7379 0.8435
17 S 0.2514 0.2514 0.3525
18 S 0.2514 0.7486 0.1475
19 S 0.7379 0.2621 0.8435